(1)
Ba3ZrF10 | r2SCAN | relaxed

Lattice parameters (Å, degrees): 8.6545 8.6545 6.1116 90.00 90.00 100.80
With the nearest neighbours (Å) after each atom.
Fractional coordinates of all 28 atoms:
1 F 0.8615 0.8615 0.5000  4 Ba 2.63-2.69
2 F 0.7568 0.5674 0.2500  1 Zr 2.11
3 F 0.6020 0.3980 0.9594  1 Zr 2.05
4 F 0.6511 0.1152 0.0405  1 Zr 2.17
5 F 0.1385 0.1385 0.5000  4 Ba 2.63-2.69
6 F 0.2432 0.4326 0.7500  1 Zr 2.11
7 F 0.6511 0.1152 0.4595  1 Zr 2.17
8 F 0.8615 0.8615 0.0000  4 Ba 2.63-2.69
9 F 0.3980 0.6020 0.0406  1 Zr 2.05
10 F 0.8848 0.3489 0.0405  1 Zr 2.17
11 F 0.3489 0.8848 0.5405  1 Zr 2.17
12 F 0.3980 0.6020 0.4594  1 Zr 2.05
13 F 0.1152 0.6511 0.5405  1 Zr 2.17
14 F 0.4326 0.2432 0.2500  1 Zr 2.11
15 F 0.1152 0.6511 0.9595  1 Zr 2.17
16 F 0.6020 0.3980 0.5406  1 Zr 2.05
17 F 0.5674 0.7568 0.7500  1 Zr 2.11
18 F 0.8848 0.3489 0.4595  1 Zr 2.17
19 F 0.1385 0.1385 0.0000  4 Ba 2.63-2.69
20 F 0.3489 0.8848 0.9595  1 Zr 2.17
21 Zr 0.3211 0.6789 0.7500  8 F 2.05-2.17
22 Zr 0.6789 0.3211 0.2500  8 F 2.05-2.17
23 Ba 0.1745 0.3983 0.2500  9 F 2.68-2.94
24 Ba 0.8879 0.1121 0.7500  8 F 2.63-2.72
25 Ba 0.6017 0.8255 0.2500  9 F 2.68-2.94
26 Ba 0.8255 0.6017 0.7500  9 F 2.68-2.94
27 Ba 0.3983 0.1745 0.7500  9 F 2.68-2.94
28 Ba 0.1121 0.8879 0.2500  8 F 2.63-2.72

Output
- energy of formation (eV/atom) = -4.1525

=====

(2)
RbSn2P3O12 | r2SCAN | relaxed

Lattice parameters (Å, degrees): 9.3676 9.3676 9.3676 52.83 52.83 52.83
With the nearest neighbours (Å) after each atom.
Fractional coordinates of all 36 atoms:
1 O 0.2928 0.9741 0.3455  1 P 1.54
2 O 0.0259 0.6545 0.7072  1 P 1.54
3 O 0.9578 0.0309 0.3218  1 P 1.53
4 O 0.7705 0.6237 0.3931  1 P 1.53
5 O 0.6545 0.7072 0.0259  1 P 1.54
6 O 0.9741 0.3455 0.2928  1 P 1.54
7 O 0.1262 0.5204 0.2631  1 P 1.53
8 O 0.9691 0.6782 0.0422  1 P 1.53
9 O 0.2295 0.3763 0.6069  1 P 1.53
10 O 0.3763 0.6069 0.2295  1 P 1.53
11 O 0.2631 0.1262 0.5204  1 P 1.53
12 O 0.6237 0.3931 0.7705  1 P 1.53
13 O 0.3931 0.7705 0.6237  1 P 1.53
14 O 0.7369 0.8738 0.4796  1 P 1.53
15 O 0.4796 0.7369 0.8738  1 P 1.53
16 O 0.8738 0.4796 0.7369  1 P 1.53
17 O 0.0422 0.9691 0.6782  1 P 1.53
18 O 0.7072 0.0259 0.6545  1 P 1.54
19 O 0.0309 0.3218 0.9578  1 P 1.53
20 O 0.5204 0.2631 0.1262  1 P 1.53
21 O 0.6069 0.2295 0.3763  1 P 1.53
22 O 0.3218 0.9578 0.0309  1 P 1.53
23 O 0.3455 0.2928 0.9741  1 P 1.54
24 O 0.6782 0.0422 0.9691  1 P 1.53
25 Sn 0.6494 0.6494 0.6494  6 O 2.02-2.05
26 Sn 0.8445 0.8445 0.8445  6 O 2.04
27 Sn 0.3506 0.3506 0.3506  6 O 2.02-2.05
28 Sn 0.1555 0.1555 0.1555  6 O 2.04
29 Rb 0.0000 0.0000 0.0000  6 O 2.97
30 Rb 0.5000 0.5000 0.5000  6 O 2.80
31 P 0.9620 0.5387 0.2480  4 O 1.53-1.54
32 P 0.7520 0.0380 0.4613  4 O 1.53-1.54
33 P 0.0380 0.4613 0.7520  4 O 1.53-1.54
34 P 0.5387 0.2480 0.9620  4 O 1.53-1.54
35 P 0.2480 0.9620 0.5387  4 O 1.53-1.54
36 P 0.4613 0.7520 0.0380  4 O 1.53-1.54

Output
- energy of formation (eV/atom) = -2.3129